Compound: NaMnO2
Source: Materials Project
Functional: r²SCAN
Structure: relaxed

Values from the calculation:
Relative energy among the computed polymorphs, kJ per mole of atoms: 0.0
Calculated volume, Å³/atom: 10.73
Space group: No. 12
Final energy, eV/atom: -9.655
DFT formation energy, eV/atom: -2.11

a b c (Å): 3.175 3.175 5.759
angles (deg): 110.70 110.70 53.63
Positions (direct):
1 Na 0.000 0.000 0.000
2 Mn 0.500 0.500 0.500
3 O 0.205 0.205 0.707
4 O 0.795 0.795 0.293